Compound: MnNi5B2O10
Source: Materials Project
Functional: PBE+U
Structure: relaxed

Calculated values
For the formation enthalpy at 0 K, the calculation gives -41.33 kcal/mol of atoms.

Lattice parameters (Å, degrees): 3.0092 9.2265 12.4105 90.00 90.00 90.00
Fractional positions:
Mn  0.0000  0.0089  0.6135
Mn  0.0000  0.9911  0.1135
Ni  0.5000  0.2549  0.4986
Ni  0.5000  0.7451  0.9986
Ni  0.5000  0.2551  0.2200
Ni  0.5000  0.2535  0.7819
Ni  0.5000  0.7465  0.2819
Ni  0.5000  0.7449  0.7200
Ni  0.0000  0.7449  0.4986
Ni  0.0000  0.2551  0.9986
Ni  0.0000  0.4903  0.3862
Ni  0.0000  0.5097  0.8862
B  0.0000  0.5264  0.1399
B  0.0000  0.9764  0.8603
B  0.0000  0.0236  0.3603
B  0.0000  0.4736  0.6399
O  0.5000  0.6361  0.4225
O  0.5000  0.8694  0.5785
O  0.5000  0.1306  0.0785
O  0.5000  0.3639  0.9225
O  0.5000  0.3582  0.3573
O  0.5000  0.1395  0.6428
O  0.5000  0.8605  0.1428
O  0.5000  0.6418  0.8573
O  0.0000  0.6007  0.2364
O  0.0000  0.8986  0.7638
O  0.0000  0.1014  0.2638
O  0.0000  0.3993  0.7364
O  0.0000  0.3745  0.1408
O  0.0000  0.1254  0.8588
O  0.0000  0.8746  0.3588
O  0.0000  0.6255  0.6408
O  0.0000  0.3989  0.5432
O  0.0000  0.1014  0.4568
O  0.0000  0.8986  0.9568
O  0.0000  0.6011  0.0432

=====

Compound: Li4Y3VO8
Source: Materials Project
Functional: PBE+U
Structure: relaxed

Calculated values
For the formation enthalpy at 0 K, the calculation gives -69.70 kcal/mol of atoms.

Lattice parameters (Å, degrees): 5.8919 5.8932 24.8403 89.80 90.19 63.47
Fractional positions:
Li  0.9985  0.0044  0.1253
Li  0.0010  0.0020  0.3751
Li  0.0044  0.9991  0.6257
Li  0.0015  0.0024  0.8758
Li  0.5033  0.4988  0.2501
Li  0.4990  0.5033  0.5001
Li  0.5006  0.5031  0.7500
Li  0.4997  0.5030  0.0000
Li  0.4985  0.0005  0.1867
Li  0.4987  0.9984  0.4370
Li  0.4953  0.9951  0.6864
Li  0.4953  0.9974  0.9363
Li  0.9966  0.4967  0.0633
Li  0.9985  0.4991  0.3136
Li  0.0011  0.4987  0.5634
Li  0.9970  0.4956  0.8131
Y  0.4970  0.5023  0.1249
Y  0.4998  0.5004  0.3750
Y  0.5035  0.4960  0.6250
Y  0.5008  0.4994  0.8749
Y  0.9991  0.5001  0.1894
Y  0.0009  0.5018  0.4394
Y  0.0032  0.5013  0.6895
Y  0.0018  0.5030  0.9395
Y  0.4993  0.0031  0.0607
Y  0.5018  0.0014  0.3107
Y  0.5002  0.9986  0.5606
Y  0.5007  0.0018  0.8107
V  0.9990  0.0010  0.5000
V  0.9990  0.9995  0.7503
V  0.9973  0.0009  0.0002
V  0.0008  0.9986  0.2500
O  0.7232  0.7269  0.1251
O  0.7258  0.7251  0.3749
O  0.7277  0.7224  0.6248
O  0.7249  0.7258  0.8752
O  0.2715  0.2758  0.1249
O  0.2738  0.2745  0.3750
O  0.2763  0.2710  0.6252
O  0.2743  0.2733  0.8753
O  0.2059  0.2113  0.0004
O  0.2103  0.2068  0.2497
O  0.2087  0.2100  0.5001
O  0.2072  0.2106  0.7506
O  0.7888  0.7928  0.0001
O  0.7916  0.7896  0.2501
O  0.7885  0.7914  0.4997
O  0.7899  0.7908  0.7500
O  0.7698  0.2608  0.1906
O  0.7761  0.2566  0.4401
O  0.7796  0.2537  0.6904
O  0.7771  0.2556  0.9403
O  0.2243  0.7438  0.1899
O  0.2305  0.7399  0.4407
O  0.2333  0.7374  0.6899
O  0.2310  0.7390  0.9399
O  0.2575  0.7747  0.0585
O  0.2564  0.7759  0.3098
O  0.2619  0.7687  0.5591
O  0.2597  0.7731  0.8086
O  0.7373  0.2318  0.0598
O  0.7392  0.2305  0.3094
O  0.7451  0.2232  0.5598
O  0.7396  0.2305  0.8095

=====

Compound: FeB6C4O4
Source: Materials Project
Functional: PBE+U
Structure: relaxed

Calculated values
For the formation enthalpy at 0 K, the calculation gives 5.98 kcal/mol of atoms.

Lattice parameters (Å, degrees): 11.5970 11.9297 16.3370 90.00 90.00 90.00
Fractional positions:
Fe  0.7304  0.1675  0.4775
Fe  0.2304  0.3325  0.5225
Fe  0.2696  0.6675  0.0225
Fe  0.7696  0.8325  0.9775
Fe  0.2696  0.8325  0.5225
Fe  0.7696  0.6675  0.4775
Fe  0.7304  0.3325  0.9775
Fe  0.2304  0.1675  0.0225
B  0.7704  0.0836  0.2942
B  0.2704  0.4164  0.7058
B  0.2296  0.5836  0.2058
B  0.7296  0.9164  0.7942
B  0.2296  0.9164  0.7058
B  0.7296  0.5836  0.2942
B  0.7704  0.4164  0.7942
B  0.2704  0.0836  0.2058
B  0.6980  0.1521  0.2215
B  0.1980  0.3479  0.7785
B  0.3020  0.6521  0.2785
B  0.8020  0.8479  0.7215
B  0.3020  0.8479  0.7785
B  0.8020  0.6521  0.2215
B  0.6980  0.3479  0.7215
B  0.1980  0.1521  0.2785
B  0.6257  0.0783  0.2850
B  0.1257  0.4217  0.7150
B  0.3743  0.5783  0.2150
B  0.8743  0.9217  0.7850
B  0.3743  0.9217  0.7150
B  0.8743  0.5783  0.2850
B  0.6257  0.4217  0.7850
B  0.1257  0.0783  0.2150
B  0.6828  0.0802  0.3755
B  0.1828  0.4198  0.6245
B  0.3172  0.5802  0.1245
B  0.8172  0.9198  0.8755
B  0.3172  0.9198  0.6245
B  0.8172  0.5802  0.3755
B  0.6828  0.4198  0.8755
B  0.1828  0.0802  0.1245
B  0.8054  0.1795  0.3643
B  0.3054  0.3205  0.6357
B  0.1946  0.6795  0.1357
B  0.6946  0.8205  0.8643
B  0.1946  0.8205  0.6357
B  0.6946  0.6795  0.3643
B  0.8054  0.3205  0.8643
B  0.3054  0.1795  0.1357
B  0.7972  0.2182  0.2695
B  0.2972  0.2818  0.7305
B  0.2028  0.7182  0.2305
B  0.7028  0.7818  0.7695
B  0.2028  0.7818  0.7305
B  0.7028  0.7182  0.2695
B  0.7972  0.2818  0.7695
B  0.2972  0.2182  0.2305
C  0.8130  0.2759  0.5255
C  0.3130  0.2241  0.4745
C  0.1870  0.7759  0.9745
C  0.6870  0.7241  0.0255
C  0.1870  0.7241  0.4745
C  0.6870  0.7759  0.5255
C  0.8130  0.2241  0.0255
C  0.3130  0.2759  0.9745
C  0.6186  0.1276  0.5486
C  0.1186  0.3724  0.4514
C  0.3814  0.6276  0.9514
C  0.8814  0.8724  0.0486
C  0.3814  0.8724  0.4514
C  0.8814  0.6276  0.5486
C  0.6186  0.3724  0.0486
C  0.1186  0.1276  0.9514
C  0.6348  0.2644  0.4279
C  0.1348  0.2356  0.5721
C  0.3652  0.7644  0.0721
C  0.8652  0.7356  0.9279
C  0.3652  0.7356  0.5721
C  0.8652  0.7644  0.4279
C  0.6348  0.2356  0.9279
C  0.1348  0.2644  0.0721
C  0.8250  0.0569  0.5144
C  0.3250  0.4431  0.4856
C  0.1750  0.5569  0.9856
C  0.6750  0.9431  0.0144
C  0.1750  0.9431  0.4856
C  0.6750  0.5569  0.5144
C  0.8250  0.4431  0.0144
C  0.3250  0.0569  0.9856
O  0.8660  0.3485  0.5536
O  0.3660  0.1515  0.4464
O  0.1340  0.8485  0.9464
O  0.6340  0.6515  0.0536
O  0.1340  0.6515  0.4464
O  0.6340  0.8485  0.5536
O  0.8660  0.1515  0.0536
O  0.3660  0.3485  0.9464
O  0.5438  0.1052  0.5920
O  0.0438  0.3948  0.4080
O  0.4562  0.6052  0.9080
O  0.9562  0.8948  0.0920
O  0.4562  0.8948  0.4080
O  0.9562  0.6052  0.5920
O  0.5438  0.3948  0.0920
O  0.0438  0.1052  0.9080
O  0.5731  0.3261  0.3955
O  0.0731  0.1739  0.6045
O  0.4269  0.8261  0.1045
O  0.9269  0.6739  0.8955
O  0.4269  0.6739  0.6045
O  0.9269  0.8261  0.3955
O  0.5731  0.1739  0.8955
O  0.0731  0.3261  0.1045
O  0.8817  0.9891  0.5451
O  0.3817  0.5109  0.4549
O  0.1183  0.4891  0.9549
O  0.6183  0.0109  0.0451
O  0.1183  0.0109  0.4549
O  0.6183  0.4891  0.5451
O  0.8817  0.5109  0.0451
O  0.3817  0.9891  0.9549

=====

Compound: Li9Mn2Co5O16
Source: Materials Project
Functional: PBE+U
Structure: relaxed

Calculated values
The value obtained for the relative energy among the computed polymorphs is 65 meV/atom. For the formation enthalpy at 0 K, the calculation gives -41.50 kcal/mol of atoms.

Lattice parameters (Å, degrees): 2.9455 9.8005 10.1908 78.88 88.61 86.58
Fractional positions:
Li  0.9972  0.7500  0.8762
Li  0.4919  0.4956  0.4964
Li  0.9973  0.2492  0.1262
Li  0.5083  0.0045  0.7434
Li  0.4996  0.4984  0.0004
Li  0.9918  0.2506  0.6221
Li  0.5014  0.9979  0.2638
Li  0.0116  0.7578  0.3764
Li  0.9876  0.9968  0.4932
Mn  0.9959  0.0015  0.9970
Mn  0.5025  0.7580  0.6175
Co  0.9992  0.4974  0.2545
Co  0.5052  0.2513  0.8751
Co  0.4983  0.7483  0.1242
Co  0.0121  0.5004  0.7540
Co  0.4979  0.2397  0.3829
O  0.4587  0.8756  0.9423
O  0.0268  0.6381  0.5728
O  0.4913  0.3720  0.2070
O  0.9632  0.1280  0.8176
O  0.9881  0.6264  0.0714
O  0.4952  0.3790  0.7006
O  0.9704  0.1365  0.3161
O  0.4953  0.8647  0.4498
O  0.5199  0.6221  0.8006
O  0.0275  0.3707  0.4313
O  0.5288  0.1284  0.0490
O  0.9795  0.8596  0.6792
O  0.0367  0.3699  0.9319
O  0.5019  0.1412  0.5447
O  0.0093  0.8723  0.1773
O  0.5094  0.6180  0.3050

=====

Compound: Li4Fe2Co3Sb3O16
Source: Materials Project
Functional: PBE+U
Structure: relaxed

Calculated values
For the formation enthalpy at 0 K, the calculation gives -41.65 kcal/mol of atoms.

Lattice parameters (Å, degrees): 6.0433 6.0680 9.6740 90.49 90.58 119.40
Fractional positions:
Li  0.3372  0.6616  0.8830
Li  0.9591  0.9822  0.9867
Li  0.9804  0.9936  0.5061
Li  0.6532  0.3241  0.4009
Fe  0.3552  0.6854  0.5073
Fe  0.7084  0.3515  0.9737
Co  0.6575  0.8282  0.2158
Co  0.8395  0.6635  0.7125
Co  0.8357  0.1736  0.7136
Sb  0.1651  0.8297  0.2148
Sb  0.1655  0.3356  0.2155
Sb  0.3455  0.1758  0.7149
O  0.1796  0.8543  0.5956
O  0.0215  0.5142  0.3355
O  0.3133  0.6537  0.0991
O  0.0081  0.0064  0.3193
O  0.0092  0.0182  0.8061
O  0.1644  0.3299  0.6013
O  0.4665  0.9609  0.3379
O  0.4664  0.5066  0.3402
O  0.3088  0.1512  0.0998
O  0.6750  0.8533  0.6009
O  0.5168  0.4713  0.8482
O  0.5350  0.0407  0.8357
O  0.6655  0.3204  0.6065
O  0.8489  0.6776  0.0982
O  0.9736  0.4670  0.8368
O  0.8454  0.1700  0.1019

=====

Compound: Li4MnV3P4O16
Source: Materials Project
Functional: PBE+U
Structure: relaxed

Calculated values
For the formation enthalpy at 0 K, the calculation gives -60.75 kcal/mol of atoms.

Lattice parameters (Å, degrees): 6.1504 4.7793 10.5418 89.99 90.00 90.00
Fractional positions:
Li  0.2508  0.0000  0.9997
Li  0.7492  0.0000  0.9997
Li  0.7511  0.5006  0.4991
Li  0.2489  0.5006  0.4991
Mn  0.5000  0.0224  0.7202
V  0.5000  0.4821  0.2238
V  0.0000  0.5178  0.7772
V  0.0000  0.9830  0.2754
P  0.0000  0.0854  0.5929
P  0.0000  0.4147  0.0933
P  0.5000  0.5852  0.9087
P  0.5000  0.9139  0.4058
O  0.0000  0.2059  0.4562
O  0.2006  0.2206  0.6629
O  0.7994  0.2206  0.6629
O  0.5000  0.2361  0.4033
O  0.5000  0.2630  0.9045
O  0.2009  0.2793  0.1630
O  0.7991  0.2793  0.1630
O  0.0000  0.2936  0.9565
O  0.5000  0.7079  0.0453
O  0.7009  0.7187  0.8389
O  0.2991  0.7187  0.8389
O  0.0000  0.7367  0.0971
O  0.0000  0.7633  0.5970
O  0.7013  0.7793  0.3366
O  0.2987  0.7793  0.3366
O  0.5000  0.7921  0.5426

=====

Compound: Ba3Sm2WO9
Source: Materials Project
Functional: PBE+U
Structure: relaxed

Calculated values
For the formation enthalpy at 0 K, the calculation gives -73.18 kcal/mol of atoms.

Lattice parameters (Å, degrees): 10.7501 10.7501 10.7501 146.47 131.65 60.12
Fractional positions:
Ba  0.5790  0.8395  0.7395
Ba  0.2654  0.5000  0.7654
Ba  0.9000  0.1605  0.7395
Ba  0.1000  0.8395  0.2605
Ba  0.7346  0.5000  0.2346
Ba  0.4210  0.1605  0.2605
Sm  0.3264  0.3264  0.0000
Sm  0.0000  0.0000  0.0000
Sm  0.6736  0.6736  0.0000
Sm  0.5000  0.0000  0.5000
W  0.1651  0.6651  0.5000
W  0.8349  0.3349  0.5000
O  0.6057  0.3307  0.2750
O  0.2471  0.0000  0.2471
O  0.9443  0.6693  0.2750
O  0.9095  0.6347  0.7251
O  0.5903  0.3409  0.7506
O  0.2388  0.9642  0.7254
O  0.7612  0.4867  0.7254
O  0.4097  0.1604  0.7506
O  0.0905  0.8156  0.7251
O  0.0557  0.3307  0.7250
O  0.7529  0.0000  0.7529
O  0.3943  0.6693  0.7250
O  0.7612  0.0358  0.2746
O  0.4097  0.6591  0.2494
O  0.0905  0.3653  0.2749
O  0.9095  0.1844  0.2749
O  0.5903  0.8396  0.2494
O  0.2388  0.5133  0.2746

=====

Compound: CrH12N3O8
Source: Materials Project
Functional: PBE+U
Structure: relaxed

Calculated values
For the formation enthalpy at 0 K, the calculation gives -12.33 kcal/mol of atoms.

Lattice parameters (Å, degrees): 6.9893 6.9893 8.4737 90.00 90.00 89.29
Fractional positions:
Cr  0.7486  0.2514  0.8231
Cr  0.2514  0.7486  0.3231
H  0.6314  0.7877  0.5002
H  0.2123  0.3686  0.5002
H  0.3686  0.2123  0.0002
H  0.7877  0.6314  0.0002
H  0.7474  0.8759  0.6580
H  0.1241  0.2526  0.6580
H  0.2526  0.1241  0.1580
H  0.8759  0.7474  0.1580
H  0.8727  0.7393  0.5283
H  0.2607  0.1273  0.5283
H  0.1273  0.2607  0.0283
H  0.7393  0.8727  0.0283
H  0.7029  0.6345  0.6414
H  0.3655  0.2971  0.6414
H  0.2971  0.3655  0.1414
H  0.6345  0.7029  0.1414
H  0.1795  0.8205  0.8934
H  0.8205  0.1795  0.3934
H  0.2349  0.5948  0.8402
H  0.4052  0.7651  0.8402
H  0.7651  0.4052  0.3402
H  0.5948  0.2349  0.3402
H  0.2328  0.7672  0.7029
H  0.7672  0.2328  0.2029
N  0.7377  0.7602  0.5819
N  0.2398  0.2623  0.5819
N  0.2623  0.2398  0.0819
N  0.7602  0.7377  0.0819
N  0.2626  0.7374  0.8194
N  0.7374  0.2626  0.3194
O  0.5503  0.4497  0.8613
O  0.4497  0.5503  0.3613
O  0.9481  0.4511  0.8364
O  0.5489  0.0519  0.8364
O  0.0519  0.5489  0.3364
O  0.4511  0.9481  0.3364
O  0.9432  0.0568  0.7680
O  0.0568  0.9432  0.2680
O  0.9086  0.3545  0.9844
O  0.6455  0.0914  0.9844
O  0.0914  0.6455  0.4844
O  0.3545  0.9086  0.4844
O  0.8516  0.1484  0.6331
O  0.1484  0.8516  0.1331
O  0.5866  0.4134  0.6954
O  0.4134  0.5866  0.1954

=====

Results for DFT total energy: -6.22; -7.30; -6.42; -5.79; -5.99; -7.17; -7.31; -5.19 (in eV/atom, following the order of the records).